Run A
{"formula": "Si6C8N2O19", "functional": "PBE", "state": "optimized geometry", "vol_a3_per_atom": 15.503, "cell": [[-4.397, 4.575, 13.487], [4.397, -4.575, 13.487], [4.397, 4.575, -13.487]], "species": ["O", "O", "O", "O", "O", "O", "O", "O", "O", "O", "O", "O", "O", "O", "O", "O", "O", "O", "O", "O", "O", "O", "O", "O", "O", "O", "O", "O", "O", "O", "O", "O", "O", "O", "O", "O", "O", "O", "C", "C", "C", "C", "C", "C", "C", "C", "C", "C", "C", "C", "C", "C", "C", "C", "N", "N", "N", "N", "Si", "Si", "Si", "Si", "Si", "Si", "Si", "Si", "Si", "Si", "Si", "Si"], "frac_coords": [[0.106, 0.311, 0.990], [0.805, 0.345, 0.100], [0.321, 0.116, 0.010], [0.397, 0.696, 0.521], [0.044, 0.369, 0.508], [0.321, 0.811, 0.705], [0.641, 0.344, 0.477], [0.569, 0.090, 0.301], [0.789, 0.268, 0.699], [0.947, 0.387, 0.060], [0.861, 0.537, 0.492], [0.978, 0.978, 0.000], [0.044, 0.037, 0.175], [0.678, 0.313, 0.304], [0.866, 0.163, 0.523], [0.805, 0.205, 0.960], [0.866, 0.844, 0.203], [0.245, 0.845, 0.040], [0.175, 0.876, 0.479], [0.971, 0.761, 0.433], [0.326, 0.887, 0.940], [0.978, 0.478, 0.500], [0.328, 0.261, 0.290], [0.569, 0.768, 0.979], [0.861, 0.869, 0.825], [0.175, 0.196, 0.799], [0.641, 0.663, 0.797], [0.009, 0.813, 0.135], [0.397, 0.376, 0.201], [0.024, 0.082, 0.442], [0.789, 0.590, 0.021], [0.009, 0.373, 0.696], [0.640, 0.582, 0.558], [0.678, 0.873, 0.865], [0.245, 0.705, 0.900], [0.328, 0.538, 0.567], [0.971, 0.038, 0.710], [0.106, 0.616, 0.295], [0.731, 0.133, 0.097], [0.717, 0.714, 0.333], [0.381, 0.214, 0.497], [0.359, 0.381, 0.479], [0.637, 0.993, 0.868], [0.637, 0.269, 0.143], [0.965, 0.578, 0.887], [0.381, 0.384, 0.667], [0.447, 0.268, 0.679], [0.690, 0.078, 0.113], [0.125, 0.769, 0.132], [0.589, 0.768, 0.321], [0.717, 0.884, 0.503], [0.902, 0.881, 0.521], [0.036, 0.633, 0.903], [0.125, 0.493, 0.857], [0.553, 0.098, 0.955], [0.306, 0.328, 0.479], [0.849, 0.828, 0.521], [0.143, 0.598, 0.045], [0.021, 0.208, 0.624], [0.021, 0.897, 0.313], [0.382, 0.747, 0.797], [0.584, 0.397, 0.376], [0.950, 0.585, 0.203], [0.718, 0.218, 0.500], [0.584, 0.708, 0.687], [0.250, 0.750, 0.500], [0.382, 0.085, 0.135], [0.950, 0.247, 0.865], [0.250, 0.250, 0.000], [0.718, 0.718, 0.000]]}

Run B
{"formula": "Si6C8N2O19", "functional": "PBE", "state": "optimized geometry", "vol_a3_per_atom": 17.763, "cell": [[-2.772, -14.705, 4.395], [4.766, -7.291, 12.937], [-7.470, 11.886, -6.795]], "species": ["Si", "Si", "Si", "Si", "Si", "Si", "Si", "Si", "Si", "Si", "Si", "Si", "O", "O", "O", "O", "O", "O", "O", "O", "O", "O", "O", "O", "O", "O", "O", "O", "O", "O", "O", "O", "O", "O", "O", "O", "O", "O", "O", "O", "O", "O", "O", "O", "O", "O", "O", "O", "O", "O", "C", "C", "C", "C", "C", "C", "C", "C", "C", "C", "C", "C", "C", "C", "C", "C", "N", "N", "N", "N"], "frac_coords": [[0.533, 0.271, 0.252], [0.460, 0.976, 0.813], [0.177, 0.987, 0.542], [0.337, 0.354, 0.313], [0.837, 0.024, 0.483], [0.981, 0.729, 0.261], [0.033, 0.280, 0.761], [0.555, 0.013, 0.191], [0.677, 0.636, 0.691], [0.055, 0.364, 0.042], [0.481, 0.720, 0.752], [0.960, 0.646, 0.983], [0.676, 0.013, 0.351], [0.042, 0.091, 0.236], [0.176, 0.325, 0.163], [0.912, 0.679, 0.074], [0.137, 0.178, 0.698], [0.602, 0.747, 0.655], [0.384, 0.547, 0.549], [0.394, 0.321, 0.233], [0.338, 0.987, 0.663], [0.619, 0.669, 0.770], [0.101, 0.331, 0.949], [0.637, 0.439, 0.459], [0.019, 0.561, 0.198], [0.412, 0.838, 0.733], [0.002, 0.453, 0.837], [0.838, 0.675, 0.851], [0.601, 0.152, 0.270], [0.910, 0.070, 0.674], [0.146, 0.909, 0.951], [0.408, 0.053, 0.155], [0.104, 0.764, 0.174], [0.402, 0.000, 0.402], [0.119, 0.848, 0.449], [0.519, 0.822, 0.959], [0.884, 0.835, 0.337], [0.308, 0.034, 0.410], [0.908, 0.253, 0.855], [0.902, 0.000, 0.902], [0.604, 0.930, 0.840], [0.876, 0.102, 0.910], [0.410, 0.236, 0.340], [0.646, 0.195, 0.736], [0.894, 0.162, 0.574], [0.542, 0.805, 0.451], [0.102, 0.947, 0.355], [0.502, 0.165, 0.049], [0.808, 0.898, 0.774], [0.376, 0.966, 0.274], [0.665, 0.075, 0.609], [0.555, 0.598, 0.030], [0.702, 0.518, 0.931], [0.165, 0.056, 0.090], [0.932, 0.476, 0.530], [0.902, 0.340, 0.440], [0.913, 0.229, 0.431], [0.034, 0.944, 0.109], [0.600, 0.538, 0.940], [0.100, 0.660, 0.562], [0.432, 0.402, 0.956], [0.534, 0.925, 0.590], [0.202, 0.771, 0.684], [0.402, 0.462, 0.062], [0.413, 0.482, 0.184], [0.055, 0.524, 0.456], [0.581, 0.463, 0.780], [0.081, 0.801, 0.618], [0.817, 0.199, 0.280], [0.317, 0.537, 0.118]]}

Most stable structure: run B

Run A
{"formula": "Os2C3N6", "functional": "PBE", "state": "optimized geometry", "vol_a3_per_atom": 13.134, "cell": [[-0.202, 8.602, 4.895], [-3.178, 0.862, -0.511], [-0.823, -0.048, 5.031]], "species": ["N", "N", "N", "N", "N", "N", "C", "C", "C", "Os", "Os"], "frac_coords": [[0.142, 0.929, 0.338], [0.858, 0.071, 0.662], [0.662, 0.669, 0.174], [0.338, 0.331, 0.826], [0.398, 0.301, 0.293], [0.602, 0.699, 0.707], [0.638, 0.681, 0.435], [0.362, 0.319, 0.565], [0.000, 0.000, 0.500], [0.359, 0.820, 0.056], [0.641, 0.180, 0.944]]}

Run B
{"formula": "Os2C3N6", "functional": "PBE", "state": "optimized geometry", "vol_a3_per_atom": 11.061, "cell": [[10.164, -0.427, -0.154], [1.588, 5.044, 0.000], [-27.262, 8.581, 5.133]], "species": ["N", "N", "N", "N", "N", "N", "N", "N", "N", "N", "N", "N", "C", "C", "C", "C", "C", "C", "Os", "Os", "Os", "Os"], "frac_coords": [[0.954, 0.649, 0.448], [0.898, 0.361, 0.173], [0.046, 0.602, 0.052], [0.102, 0.639, 0.827], [0.102, 0.259, 0.327], [0.898, 0.741, 0.673], [0.884, 0.747, 0.081], [0.046, 0.351, 0.552], [0.116, 0.631, 0.419], [0.884, 0.369, 0.581], [0.954, 0.398, 0.948], [0.116, 0.253, 0.919], [0.986, 0.670, 0.417], [0.014, 0.656, 0.083], [0.000, 0.312, 0.250], [0.986, 0.344, 0.917], [0.014, 0.330, 0.583], [0.000, 0.688, 0.750], [0.047, 0.001, 0.850], [0.953, 0.049, 0.650], [0.953, 0.999, 0.150], [0.047, 0.951, 0.350]]}

Most stable structure: run B

Run A
{"formula": "PdC2N2", "functional": "PBE", "state": "optimized geometry", "vol_a3_per_atom": 15.727, "cell": [[-1.949, 1.434, -2.628], [-5.560, -1.734, 3.178], [0.000, 5.824, 3.178]], "species": ["C", "C", "C", "C", "N", "N", "N", "N", "Pd", "Pd"], "frac_coords": [[0.750, 0.211, 0.289], [0.250, 0.289, 0.789], [0.250, 0.711, 0.211], [0.750, 0.789, 0.711], [0.250, 0.163, 0.663], [0.750, 0.663, 0.837], [0.250, 0.837, 0.337], [0.750, 0.337, 0.163], [0.250, 0.500, 0.000], [0.750, 0.000, 0.500]]}

Run B
{"formula": "PdC2N2", "functional": "PBE", "state": "optimized geometry", "vol_a3_per_atom": 21.259, "cell": [[-3.602, -3.655, 0.000], [-3.602, 3.655, 0.000], [0.000, 0.000, -16.148]], "species": ["C", "C", "C", "C", "C", "C", "C", "C", "Pd", "Pd", "Pd", "Pd", "N", "N", "N", "N", "N", "N", "N", "N"], "frac_coords": [[0.863, 0.509, 0.876], [0.637, 0.991, 0.376], [0.491, 0.137, 0.876], [0.137, 0.491, 0.124], [0.363, 0.009, 0.624], [0.991, 0.637, 0.624], [0.009, 0.363, 0.376], [0.509, 0.863, 0.124], [0.869, 0.131, 0.876], [0.131, 0.869, 0.124], [0.631, 0.369, 0.376], [0.369, 0.631, 0.624], [0.264, 0.137, 0.876], [0.637, 0.764, 0.376], [0.764, 0.637, 0.624], [0.736, 0.863, 0.124], [0.363, 0.236, 0.624], [0.236, 0.363, 0.376], [0.863, 0.736, 0.876], [0.137, 0.264, 0.124]]}

Most stable structure: run B

Run A
{"formula": "PtC8N6", "functional": "PBE", "state": "optimized geometry", "vol_a3_per_atom": 19.850, "cell": [[14.349, 2.000, 1.058], [-5.442, 9.426, -2.117], [0.410, -0.711, 6.272]], "species": ["N", "N", "N", "N", "N", "N", "N", "N", "N", "N", "N", "N", "N", "N", "N", "N", "N", "N", "C", "C", "C", "C", "C", "C", "C", "C", "C", "C", "C", "C", "C", "C", "C", "C", "C", "C", "C", "C", "C", "C", "C", "C", "Pt", "Pt", "Pt"], "frac_coords": [[0.000, 0.834, 0.009], [0.822, 0.446, 0.087], [0.178, 0.623, 0.087], [0.146, 0.054, 0.919], [0.257, 0.228, 0.537], [0.335, 0.547, 0.176], [0.838, 0.319, 0.524], [0.321, 0.843, 0.991], [0.000, 0.143, 0.838], [0.743, 0.971, 0.537], [0.854, 0.908, 0.919], [0.439, 0.096, 0.516], [0.561, 0.657, 0.516], [0.530, 0.320, 0.113], [0.665, 0.211, 0.176], [0.679, 0.522, 0.991], [0.162, 0.480, 0.524], [0.470, 0.790, 0.113], [0.379, 0.059, 0.647], [0.630, 0.991, 0.274], [0.910, 0.307, 0.568], [0.779, 0.817, 0.857], [0.691, 0.703, 0.805], [0.000, 0.213, 0.732], [0.000, 0.616, 0.075], [0.094, 0.610, 0.085], [0.542, 0.883, 0.193], [0.621, 0.680, 0.647], [0.090, 0.397, 0.568], [0.650, 0.112, 0.222], [0.350, 0.462, 0.222], [0.000, 0.303, 0.622], [0.906, 0.516, 0.085], [0.370, 0.361, 0.274], [0.000, 0.735, 0.040], [0.308, 0.289, 0.419], [0.682, 0.603, 0.904], [0.458, 0.341, 0.193], [0.309, 0.011, 0.805], [0.221, 0.038, 0.857], [0.692, 0.981, 0.419], [0.318, 0.921, 0.904], [0.324, 0.696, 0.093], [0.000, 0.989, 0.925], [0.676, 0.372, 0.093]]}

Run B
{"formula": "PtC8N6", "functional": "PBE", "state": "optimized geometry", "vol_a3_per_atom": 17.965, "cell": [[5.209, 0.000, 0.000], [0.000, 7.085, 0.000], [0.000, 0.000, 14.602]], "species": ["N", "N", "N", "N", "N", "N", "N", "N", "N", "N", "N", "N", "C", "C", "C", "C", "C", "C", "C", "C", "C", "C", "C", "C", "C", "C", "C", "C", "Pt", "Pt"], "frac_coords": [[0.285, 0.000, 0.764], [0.715, 0.500, 0.264], [0.820, 0.200, 0.934], [0.180, 0.700, 0.434], [0.180, 0.200, 0.066], [0.180, 0.800, 0.066], [0.180, 0.300, 0.434], [0.715, 0.000, 0.236], [0.285, 0.500, 0.736], [0.820, 0.300, 0.566], [0.820, 0.800, 0.934], [0.820, 0.700, 0.566], [0.560, 0.000, 0.294], [0.728, 0.667, 0.900], [0.628, 0.000, 0.636], [0.372, 0.500, 0.136], [0.440, 0.000, 0.706], [0.440, 0.500, 0.794], [0.372, 0.000, 0.364], [0.272, 0.667, 0.100], [0.728, 0.333, 0.900], [0.560, 0.500, 0.206], [0.628, 0.500, 0.864], [0.728, 0.167, 0.600], [0.728, 0.833, 0.600], [0.272, 0.333, 0.100], [0.272, 0.833, 0.400], [0.272, 0.167, 0.400], [0.000, 0.500, 0.500], [0.000, 0.000, 0.000]]}

Most stable structure: run B

Run A
{"formula": "RuC2N2", "functional": "PBE", "state": "optimized geometry", "vol_a3_per_atom": 13.108, "cell": [[-1.584, 1.165, -2.136], [-5.631, -1.756, 3.218], [0.000, 5.898, 3.218]], "species": ["C", "C", "C", "C", "N", "N", "N", "N", "Ru", "Ru"], "frac_coords": [[0.750, 0.210, 0.290], [0.250, 0.710, 0.210], [0.750, 0.790, 0.710], [0.250, 0.290, 0.790], [0.750, 0.335, 0.165], [0.250, 0.165, 0.665], [0.250, 0.835, 0.335], [0.750, 0.665, 0.835], [0.750, 0.000, 0.500], [0.250, 0.500, 0.000]]}

Run B
{"formula": "RuC2N2", "functional": "PBE", "state": "optimized geometry", "vol_a3_per_atom": 12.358, "cell": [[6.061, 0.000, 0.000], [0.000, 7.120, 0.000], [0.000, 0.000, 11.454]], "species": ["N", "N", "N", "N", "N", "N", "N", "N", "N", "N", "N", "N", "N", "N", "N", "N", "C", "C", "C", "C", "C", "C", "C", "C", "C", "C", "C", "C", "C", "C", "C", "C", "Ru", "Ru", "Ru", "Ru", "Ru", "Ru", "Ru", "Ru"], "frac_coords": [[0.838, 0.998, 0.712], [0.379, 0.352, 0.039], [0.621, 0.852, 0.461], [0.121, 0.648, 0.539], [0.879, 0.148, 0.961], [0.662, 0.498, 0.712], [0.338, 0.502, 0.288], [0.162, 0.002, 0.288], [0.879, 0.352, 0.461], [0.121, 0.852, 0.039], [0.162, 0.498, 0.788], [0.662, 0.002, 0.212], [0.379, 0.148, 0.539], [0.838, 0.502, 0.212], [0.338, 0.998, 0.788], [0.621, 0.648, 0.961], [0.601, 0.653, 0.684], [0.756, 0.744, 0.422], [0.601, 0.847, 0.184], [0.244, 0.244, 0.078], [0.101, 0.653, 0.816], [0.744, 0.244, 0.422], [0.256, 0.744, 0.078], [0.399, 0.153, 0.816], [0.756, 0.756, 0.922], [0.399, 0.347, 0.316], [0.744, 0.256, 0.922], [0.899, 0.153, 0.684], [0.244, 0.256, 0.578], [0.256, 0.756, 0.578], [0.101, 0.847, 0.316], [0.899, 0.347, 0.184], [0.498, 0.613, 0.131], [0.498, 0.887, 0.631], [0.998, 0.887, 0.869], [0.502, 0.387, 0.869], [0.502, 0.113, 0.369], [0.998, 0.613, 0.369], [0.002, 0.387, 0.631], [0.002, 0.113, 0.131]]}

Most stable structure: run B